A plane-wave DFT calculation with PBE was carried out for a relaxed Na3AlInP3O12 crystal.

Results
**Space group**: P1 (1)
**Crystal system**: triclinic
**Total magnetization**: 0.0 μB/cell
**Formation energy from the elements**: -260.0 kJ/mol of atoms

a b c (Å): 8.8288 8.8479 22.0594
angles (deg): 90.02 90.02 119.90
Closest atoms and distances in Å follow each position.
Fractional positions:
Na: 0.0000 0.0000 0.0000  4 O 2.39-2.50
Na: 0.9996 0.3609 0.7497  6 O 2.51-2.62
Na: 0.0275 0.0562 0.3334  6 O 2.40-2.66
Na: 0.0311 0.6930 0.8321  5 O 2.35-2.58
Na: 0.3009 0.3337 0.8328  5 O 2.34-2.60
Na: 0.3170 0.9992 0.4181  6 O 2.43-2.69
Na: 0.3327 0.3893 0.1648  5 O 2.39-2.59
Na: 0.3594 0.7231 0.0001  6 O 2.38-2.62
Na: 0.3608 0.0433 0.9164  6 O 2.44-2.73
Na: 0.3619 0.3591 0.5027  6 O 2.41-2.68
Na: 0.6323 0.9970 0.5025  6 O 2.40-2.57
Na: 0.6646 0.3304 0.3328  6 O 2.39-2.67
Na: 0.6661 0.6929 0.0801  6 O 2.44-2.47
Na: 0.6656 0.6939 0.5848  6 O 2.41-2.49
Na: 0.7028 0.3971 0.6662  6 O 2.34-2.62
Na: 0.9642 0.0242 0.6665  5 O 2.34-2.55
Na: 0.9687 0.6607 0.1647  7 O 2.42-2.68
Na: 0.9977 0.3593 0.2488  6 O 2.47-2.63
Al: 0.0059 0.3682 0.6038  6 O 1.85-2.06
Al: 0.3291 0.0219 0.5677  6 O 1.83-1.99
Al: 0.3379 0.0242 0.7678  6 O 1.88-2.08
Al: 0.3380 0.0311 0.0656  6 O 1.85-2.01
Al: 0.6635 0.6884 0.9339  6 O 1.91-2.10
Al: 0.9931 0.3557 0.0975  6 O 1.88-1.98
In: 0.0079 0.3718 0.4047  6 O 2.06-2.19
In: 0.3376 0.0228 0.2617  6 O 2.09-2.21
In: 0.6585 0.6958 0.7302  6 O 2.05-2.24
In: 0.6641 0.7019 0.2287  6 O 2.06-2.26
In: 0.6703 0.6947 0.4382  6 O 2.07-2.22
In: 0.9888 0.3525 0.9040  6 O 2.07-2.21
P: 0.0083 0.0698 0.5066  4 O 1.54-1.56
P: 0.0417 0.0376 0.1607  4 O 1.54-1.56
P: 0.0562 0.7378 0.6667  4 O 1.53-1.58
P: 0.2875 0.6610 0.5066  4 O 1.53-1.57
P: 0.3021 0.3595 0.0016  4 O 1.55-1.56
P: 0.3214 0.7247 0.1587  4 O 1.53-1.56
P: 0.3242 0.3067 0.6656  4 O 1.54-1.56
P: 0.3655 0.3946 0.3324  4 O 1.54-1.56
P: 0.3776 0.7039 0.8362  4 O 1.54-1.57
P: 0.6205 0.0350 0.6646  4 O 1.53-1.58
P: 0.6345 0.3158 0.1622  4 O 1.53-1.57
P: 0.6587 0.3978 0.8321  4 O 1.54-1.56
P: 0.6653 0.9936 0.3367  4 O 1.53-1.56
P: 0.6981 0.0628 0.0024  4 O 1.54-1.58
P: 0.7005 0.3532 0.5066  4 O 1.54-1.56
P: 0.9626 0.9849 0.8334  4 O 1.54-1.57
P: 0.9655 0.6944 0.3307  4 O 1.54-1.55
P: 0.9971 0.6601 0.0017  4 O 1.54-1.57
O: 0.0248 0.2015 0.1515  1 P 1.54
O: 0.0280 0.5496 0.6600  1 P 1.56
O: 0.0449 0.1723 0.4459  1 P 1.56
O: 0.0465 0.5953 0.9436  1 P 1.55
O: 0.1425 0.0100 0.1087  1 P 1.55
O: 0.1441 0.0743 0.2215  1 P 1.56
O: 0.1451 0.8616 0.3276  1 P 1.54
O: 0.1459 0.9962 0.8290  1 P 1.57
O: 0.1468 0.8593 0.6133  1 P 1.53
O: 0.1573 0.8202 0.7267  1 P 1.56
O: 0.1577 0.3246 0.6598  1 P 1.56
O: 0.1580 0.5386 0.1516  1 P 1.56
O: 0.1589 0.8476 0.0108  1 P 1.57
O: 0.1708 0.0491 0.5140  1 P 1.54
O: 0.1803 0.3689 0.3354  1 P 1.54
O: 0.1883 0.3114 0.9432  1 P 1.56
O: 0.1891 0.5294 0.5573  1 P 1.53
O: 0.1892 0.5424 0.8420  1 P 1.57
O: 0.1948 0.5996 0.4448  1 P 1.54
O: 0.2062 0.3950 0.0541  1 P 1.56
O: 0.2815 0.7909 0.2180  1 P 1.54
O: 0.2973 0.1948 0.7237  1 P 1.56
O: 0.3176 0.8477 0.5144  1 P 1.55
O: 0.3221 0.1973 0.0126  1 P 1.55
O: 0.3431 0.8438 0.1053  1 P 1.53
O: 0.3507 0.2120 0.3298  1 P 1.56
O: 0.3515 0.2181 0.6096  1 P 1.54
O: 0.3619 0.8696 0.8274  1 P 1.55
O: 0.4444 0.6532 0.7797  1 P 1.54
O: 0.4481 0.4966 0.2735  1 P 1.54
O: 0.4715 0.6742 0.5044  1 P 1.57
O: 0.4748 0.4759 0.3904  1 P 1.55
O: 0.4803 0.5304 0.9929  1 P 1.56
O: 0.4846 0.7023 0.1618  1 P 1.55
O: 0.4886 0.2176 0.8256  1 P 1.56
O: 0.4892 0.7239 0.8934  1 P 1.55
O: 0.4926 0.4883 0.6674  1 P 1.55
O: 0.4996 0.2104 0.1133  1 P 1.53
O: 0.5050 0.0168 0.3314  1 P 1.53
O: 0.5105 0.0315 0.0132  1 P 1.56
O: 0.5141 0.1894 0.5121  1 P 1.56
O: 0.5146 0.0150 0.6072  1 P 1.53
O: 0.5307 0.0594 0.7210  1 P 1.55
O: 0.5739 0.2287 0.2253  1 P 1.55
O: 0.6294 0.4953 0.8855  1 P 1.56
O: 0.6431 0.8948 0.3964  1 P 1.54
O: 0.6484 0.4999 0.1626  1 P 1.57
O: 0.6503 0.8756 0.6664  1 P 1.56
O: 0.6764 0.5148 0.5043  1 P 1.55
O: 0.6855 0.8792 0.9954  1 P 1.58
O: 0.6979 0.5031 0.7723  1 P 1.55
O: 0.7003 0.9110 0.2810  1 P 1.54
O: 0.7577 0.1654 0.9427  1 P 1.54
O: 0.7678 0.3187 0.4458  1 P 1.56
O: 0.8088 0.2018 0.6610  1 P 1.58
O: 0.8197 0.3431 0.1525  1 P 1.54
O: 0.8220 0.3753 0.5599  1 P 1.54
O: 0.8244 0.3828 0.8394  1 P 1.54
O: 0.8324 0.1775 0.3389  1 P 1.56
O: 0.8330 0.1596 0.0530  1 P 1.54
O: 0.8326 0.6798 0.9924  1 P 1.56
O: 0.8366 0.8924 0.5043  1 P 1.55
O: 0.8592 0.6655 0.2714  1 P 1.55
O: 0.8634 0.8663 0.1629  1 P 1.55
O: 0.8629 0.9146 0.7734  1 P 1.54
O: 0.8660 0.8652 0.8887  1 P 1.56
O: 0.8682 0.7173 0.6677  1 P 1.58
O: 0.8804 0.7271 0.3864  1 P 1.54
O: 0.9706 0.5379 0.0554  1 P 1.54
O: 0.9736 0.5256 0.3360  1 P 1.54
O: 0.9814 0.1707 0.5592  1 P 1.55
O: 0.9957 0.1734 0.8387  1 P 1.55

A plane-wave DFT calculation with PBE was carried out for a relaxed NaAlInPS2O12 crystal.

Results
**Space group**: P1 (1)
**Crystal system**: triclinic
**Total magnetization**: 0.0 μB/cell
**Formation energy from the elements**: -226.2 kJ/mol of atoms

a b c (Å): 8.5782 8.5849 22.5410
angles (deg): 90.12 90.03 119.93
Closest atoms and distances in Å follow each position.
Fractional positions:
Na: 0.0000 0.0000 0.0000  5 O 2.46-2.70
Na: 0.0045 0.0010 0.5063  4 O 2.34-2.60
Na: 0.3290 0.6525 0.1692  6 O 2.34-2.58
Na: 0.3509 0.6720 0.6695  6 O 2.44-2.64
Na: 0.6692 0.3094 0.8316  6 O 2.37-2.60
Na: 0.7006 0.3382 0.3355  6 O 2.46-2.73
Al: 0.0094 0.9871 0.6552  6 O 1.82-2.01
Al: 0.0129 0.9928 0.8488  6 O 1.83-1.96
Al: 0.3470 0.6572 0.5242  6 O 1.84-2.05
Al: 0.3504 0.6742 0.8134  3 O 1.78-1.90
Al: 0.6609 0.2967 0.6877  4 O 1.82-2.03
Al: 0.6949 0.3334 0.1860  6 O 1.80-1.95
In: 0.0106 0.9920 0.1516  6 O 2.01-2.17
In: 0.0138 0.9942 0.3550  6 O 2.09-2.24
In: 0.3331 0.6523 0.3181  6 O 2.01-2.17
In: 0.3497 0.6603 0.0192  6 O 2.11-2.23
In: 0.6854 0.3143 0.9775  6 O 2.03-2.25
In: 0.6899 0.3188 0.4922  6 O 2.06-2.23
P: 0.0017 0.6849 0.2503  4 O 1.53-1.55
P: 0.0597 0.3683 0.4246  4 O 1.53-1.56
P: 0.2948 0.9910 0.7517  4 O 1.53-1.57
P: 0.6461 0.9416 0.9114  4 O 1.53-1.56
P: 0.6807 0.0175 0.5904  4 O 1.54-1.56
P: 0.9728 0.3276 0.0869  4 O 1.53-1.55
S: 0.0127 0.2816 0.7516  4 O 1.48-1.50
S: 0.0592 0.6713 0.9110  4 O 1.47-1.49
S: 0.3307 0.2942 0.2496  4 O 1.47-1.49
S: 0.3349 0.3615 0.9108  4 O 1.47-1.49
S: 0.3464 0.9472 0.4243  4 O 1.47-1.48
S: 0.3803 0.3217 0.5901  4 O 1.48-1.49
S: 0.3960 0.0400 0.0881  4 O 1.47-1.49
S: 0.6323 0.6559 0.4238  4 O 1.48-1.49
S: 0.6767 0.6061 0.0864  4 O 1.47-1.49
S: 0.7081 0.0009 0.2506  4 O 1.47-1.49
S: 0.7224 0.6979 0.7518  4 O 1.48-1.50
S: 0.9759 0.6240 0.5914  4 O 1.48-1.50
O: 0.0040 0.8065 0.6020  1 S 1.48
O: 0.0357 0.8017 0.1955  1 P 1.53
O: 0.0427 0.8326 0.9021  1 S 1.47
O: 0.0447 0.1991 0.6987  1 S 1.48
O: 0.0499 0.1821 0.4231  1 P 1.56
O: 0.1294 0.4568 0.3641  1 P 1.53
O: 0.1530 0.6992 0.9690  1 S 1.49
O: 0.1549 0.6368 0.5829  1 S 1.50
O: 0.1546 0.6422 0.8616  1 S 1.47
O: 0.1582 0.5032 0.0855  1 P 1.55
O: 0.1677 0.6602 0.2530  1 P 1.54
O: 0.1739 0.9479 0.4228  1 S 1.48
O: 0.1752 0.4627 0.7601  1 S 1.49
O: 0.1748 0.4742 0.4787  1 P 1.54
O: 0.1763 0.9611 0.6970  1 P 1.54
O: 0.1774 0.1795 0.9026  1 S 1.48
O: 0.1993 0.1648 0.6006  1 S 1.48
O: 0.2084 0.0240 0.8063  1 P 1.53
O: 0.2104 0.2162 0.1980  1 S 1.47
O: 0.2115 0.0109 0.0905  1 S 1.48
O: 0.2537 0.1891 0.3048  1 S 1.49
O: 0.3020 0.4243 0.9688  1 S 1.49
O: 0.3174 0.8220 0.7597  1 P 1.57
O: 0.3392 0.8389 0.4763  1 S 1.48
O: 0.3541 0.4805 0.8609  1 S 1.47
O: 0.3646 0.4805 0.2545  1 S 1.48
O: 0.3648 0.4862 0.5830  1 S 1.49
O: 0.3745 0.8797 0.3671  1 S 1.48
O: 0.3916 0.8646 0.0878  1 S 1.49
O: 0.4469 0.2834 0.5342  1 S 1.49
O: 0.4671 0.1340 0.0313  1 S 1.47
O: 0.4857 0.1606 0.7428  1 P 1.57
O: 0.4994 0.1323 0.4283  1 S 1.47
O: 0.5023 0.1404 0.1404  1 S 1.48
O: 0.5024 0.3497 0.9140  1 S 1.49
O: 0.5030 0.3012 0.2396  1 S 1.47
O: 0.5064 0.3547 0.6402  1 S 1.49
O: 0.5083 0.8314 0.5796  1 P 1.56
O: 0.5113 0.6209 0.0876  1 S 1.49
O: 0.5189 0.8399 0.8601  1 P 1.53
O: 0.5290 0.8403 0.2568  1 S 1.47
O: 0.5353 0.6716 0.4758  1 S 1.48
O: 0.5385 0.6760 0.7590  1 S 1.50
O: 0.5430 0.6419 0.3663  1 S 1.48
O: 0.5811 0.8441 0.9721  1 P 1.56
O: 0.6415 0.1141 0.6417  1 P 1.55
O: 0.6479 0.4928 0.4285  1 S 1.48
O: 0.6599 0.1294 0.9125  1 P 1.56
O: 0.6661 0.5003 0.1393  1 S 1.48
O: 0.6872 0.1592 0.2418  1 S 1.47
O: 0.6882 0.5258 0.0299  1 S 1.47
O: 0.7058 0.5180 0.7427  1 S 1.49
O: 0.7335 0.1285 0.5327  1 P 1.54
O: 0.7868 0.9668 0.1977  1 S 1.47
O: 0.8029 0.8145 0.6993  1 S 1.48
O: 0.8122 0.8213 0.4233  1 S 1.49
O: 0.8196 0.0373 0.3049  1 S 1.49
O: 0.8327 0.4993 0.2426  1 P 1.54
O: 0.8352 0.9661 0.9011  1 P 1.55
O: 0.8358 0.7810 0.8048  1 S 1.48
O: 0.8380 0.7872 0.0883  1 S 1.48
O: 0.8438 0.9938 0.6047  1 P 1.55
O: 0.8503 0.3021 0.7429  1 S 1.50
O: 0.8699 0.5661 0.5352  1 S 1.49
O: 0.8707 0.3480 0.4266  1 P 1.54
O: 0.8715 0.3383 0.1414  1 P 1.53
O: 0.8764 0.5097 0.9129  1 S 1.49
O: 0.8774 0.3041 0.0273  1 P 1.53
O: 0.8807 0.4977 0.6407  1 S 1.48
O: 0.9726 0.7666 0.3079  1 P 1.55
O: 0.9772 0.1672 0.8046  1 S 1.48
O: 0.9966 0.1606 0.0900  1 P 1.55

A plane-wave DFT calculation with PBE was carried out for a relaxed Na3Al2In2P3S3O24 crystal.

Results
**Space group**: P1 (1)
**Crystal system**: triclinic
**Total magnetization**: 0.0 μB/cell
**Formation energy from the elements**: -235.4 kJ/mol of atoms

a b c (Å): 8.6696 8.6705 22.3937
angles (deg): 88.85 89.90 60.05
Closest atoms and distances in Å follow each position.
Fractional positions:
Na: 0.0000 0.0000 0.0000  6 O 2.44-2.63
Na: 0.0023 0.0037 0.4900  6 O 2.36-2.63
Na: 0.3241 0.3568 0.6613  6 O 2.43-2.66
Na: 0.3263 0.3828 0.1659  5 O 2.40-2.62
Na: 0.3566 0.0211 0.2476  6 O 2.35-2.63
Na: 0.6479 0.7059 0.8318  6 O 2.45-2.63
Na: 0.6598 0.6884 0.3279  6 O 2.46-2.60
Na: 0.6781 0.3506 0.9147  6 O 2.37-2.59
Na: 0.9717 0.3513 0.4119  8 O 2.44-2.70
Al: 0.0109 0.0100 0.3408  5 O 1.83-1.97
Al: 0.3014 0.3722 0.3114  5 O 1.83-2.03
Al: 0.6573 0.6849 0.9838  6 O 1.83-2.04
Al: 0.6618 0.6642 0.1832  4 O 1.76-1.92
Al: 0.6617 0.7005 0.4730  5 O 1.85-1.97
Al: 0.9948 0.0292 0.1478  5 O 1.87-2.03
In: 0.3136 0.3621 0.5057  6 O 2.08-2.21
In: 0.3337 0.3571 0.0210  6 O 2.06-2.27
In: 0.3407 0.3505 0.8176  6 O 2.09-2.25
In: 0.6642 0.6758 0.6788  6 O 2.03-2.20
In: 0.9854 0.0377 0.6387  6 O 2.06-2.28
In: 0.9935 0.0154 0.8474  6 O 2.06-2.27
P: 0.0238 0.6645 0.4076  4 O 1.53-1.57
P: 0.2796 0.7292 0.2437  4 O 1.54-1.58
P: 0.3286 0.0543 0.4064  4 O 1.54-1.56
P: 0.3333 0.6597 0.9186  4 O 1.53-1.55
P: 0.6252 0.0399 0.9186  4 O 1.52-1.55
P: 0.6767 0.3905 0.0834  4 O 1.53-1.56
P: 0.6896 0.3217 0.7478  4 O 1.53-1.55
P: 0.9480 0.4013 0.5714  4 O 1.53-1.56
P: 0.9909 0.3113 0.2467  4 O 1.55-1.58
S: 0.0226 0.3658 0.9174  4 O 1.46-1.49
S: 0.2942 0.0242 0.7445  4 O 1.47-1.48
S: 0.3703 0.6884 0.5732  4 O 1.48-1.49
S: 0.3713 0.9634 0.0851  4 O 1.48-1.49
S: 0.6204 0.3527 0.4077  4 O 1.48-1.50
S: 0.6591 0.9775 0.5742  4 O 1.48-1.49
S: 0.7072 0.0244 0.2444  4 O 1.47-1.50
S: 0.9326 0.6975 0.0851  4 O 1.48-1.50
S: 0.9960 0.7196 0.7441  4 O 1.47-1.48
O: 0.0171 0.8050 0.6892  1 S 1.48
O: 0.0344 0.1840 0.1938  1 P 1.55
O: 0.0976 0.3926 0.8613  1 S 1.48
O: 0.1114 0.5324 0.0835  1 S 1.50
O: 0.1171 0.5221 0.3590  1 P 1.56
O: 0.1348 0.6066 0.4656  1 P 1.54
O: 0.1359 0.3321 0.9701  1 S 1.46
O: 0.1377 0.3747 0.5714  1 P 1.54
O: 0.1501 0.5370 0.7479  1 S 1.48
O: 0.1589 0.8171 0.1884  1 P 1.54
O: 0.1618 0.3287 0.2553  1 P 1.58
O: 0.1629 0.0319 0.3962  1 P 1.56
O: 0.1808 0.8516 0.9103  1 P 1.53
O: 0.1900 0.8505 0.5723  1 S 1.49
O: 0.1936 0.9764 0.0897  1 S 1.49
O: 0.1971 0.0351 0.6889  1 S 1.48
O: 0.2030 0.8552 0.2969  1 P 1.54
O: 0.2137 0.9973 0.7989  1 S 1.47
O: 0.2725 0.1760 0.4611  1 P 1.55
O: 0.2840 0.5824 0.9725  1 P 1.53
O: 0.2993 0.1913 0.7479  1 S 1.47
O: 0.2992 0.5439 0.2567  1 P 1.55
O: 0.3465 0.1461 0.0817  1 S 1.49
O: 0.3576 0.5251 0.5701  1 S 1.48
O: 0.3605 0.1486 0.3516  1 P 1.56
O: 0.3753 0.5435 0.8625  1 P 1.55
O: 0.4527 0.6766 0.6320  1 S 1.48
O: 0.4575 0.8612 0.0313  1 S 1.48
O: 0.4697 0.7093 0.2351  1 P 1.58
O: 0.4711 0.7026 0.5220  1 S 1.48
O: 0.4776 0.8700 0.7425  1 S 1.48
O: 0.4800 0.8796 0.1400  1 S 1.49
O: 0.4960 0.8712 0.4185  1 P 1.54
O: 0.4979 0.3811 0.3574  1 S 1.48
O: 0.5041 0.3393 0.7468  1 P 1.54
O: 0.5078 0.1612 0.5696  1 S 1.48
O: 0.5082 0.6623 0.9294  1 P 1.55
O: 0.5090 0.3692 0.0830  1 P 1.55
O: 0.5166 0.1068 0.8597  1 P 1.55
O: 0.5260 0.1842 0.2500  1 S 1.49
O: 0.5383 0.1741 0.9688  1 P 1.54
O: 0.5571 0.3160 0.4648  1 S 1.48
O: 0.6374 0.9051 0.6317  1 S 1.48
O: 0.6385 0.5158 0.4127  1 S 1.50
O: 0.6479 0.8569 0.9325  1 P 1.52
O: 0.6510 0.5094 0.1363  1 P 1.53
O: 0.6624 0.8735 0.5223  1 S 1.48
O: 0.6704 0.5084 0.7470  1 P 1.54
O: 0.6820 0.8653 0.2405  1 S 1.50
O: 0.6938 0.4777 0.0244  1 P 1.55
O: 0.7846 0.2388 0.8081  1 P 1.55
O: 0.7859 0.2138 0.6930  1 P 1.53
O: 0.7892 0.0499 0.1896  1 S 1.48
O: 0.8026 0.1985 0.3995  1 S 1.49
O: 0.8102 0.0265 0.9128  1 P 1.55
O: 0.8195 0.9980 0.2973  1 S 1.47
O: 0.8262 0.4987 0.2377  1 P 1.55
O: 0.8289 0.7131 0.7424  1 S 1.48
O: 0.8305 0.7133 0.0300  1 S 1.48
O: 0.8313 0.9767 0.5739  1 S 1.49
O: 0.8380 0.5073 0.5153  1 P 1.55
O: 0.8402 0.6730 0.4168  1 P 1.57
O: 0.8422 0.6828 0.1392  1 S 1.48
O: 0.8447 0.5269 0.9240  1 S 1.49
O: 0.8481 0.2049 0.0913  1 P 1.56
O: 0.8714 0.4916 0.6306  1 P 1.53
O: 0.9520 0.8580 0.0877  1 S 1.48
O: 0.9563 0.2180 0.5694  1 P 1.56
O: 0.9611 0.2258 0.3036  1 P 1.55
O: 0.9860 0.8136 0.7992  1 S 1.47
O: 0.9930 0.2111 0.9130  1 S 1.49
O: 0.9954 0.8491 0.3916  1 P 1.53

no.,E (MP2020) (eV for the cell shown),E (eV per atom)
1,-839.8,-6.59
2,-738.5,-6.38
3,-763.9,-6.44